{
  "formula": "V3Cr3B8",
  "functional": "r²SCAN",
  "state": "relaxed",
  "total_energy_ev_per_atom": -11.0777,
  "formation_energy_mev_per_atom": -631,
  "magmom_total_mub_per_cell": 0.0,
  "lattice_angstrom": [[2.948, 0.000, 0.000], [0.000, 2.964, 0.000], [0.000, 0.000, 13.015]],
  "species": ["V", "V", "V", "Cr", "Cr", "Cr", "B", "B", "B", "B", "B", "B", "B", "B"],
  "frac_coords": [[0.000, 0.000, 0.810], [0.500, 0.000, 0.002], [0.000, 0.500, 0.499], [0.000, 0.000, 0.187], [0.500, 0.500, 0.688], [0.500, 0.500, 0.313], [0.500, 0.000, 0.432], [0.000, 0.500, 0.935], [0.000, 0.500, 0.068], [0.500, 0.000, 0.565], [0.000, 0.000, 0.360], [0.500, 0.500, 0.863], [0.500, 0.500, 0.141], [0.000, 0.000, 0.637]]
}

***

{
  "formula": "NaInBr4",
  "functional": "r²SCAN",
  "state": "relaxed",
  "total_energy_ev_per_atom": -14.4580,
  "formation_energy_mev_per_atom": -1262,
  "magmom_total_mub_per_cell": 0.0,
  "lattice_angstrom": [[-0.157, -5.892, -3.340], [-4.879, -4.510, 8.185], [-9.863, 2.740, -4.369]],
  "species": ["Na", "Na", "Na", "Na", "In", "In", "In", "In", "Br", "Br", "Br", "Br", "Br", "Br", "Br", "Br", "Br", "Br", "Br", "Br", "Br", "Br", "Br", "Br"],
  "frac_coords": [[0.066, 0.525, 0.648], [0.566, 0.975, 0.352], [0.934, 0.025, 0.852], [0.434, 0.475, 0.148], [0.541, 0.256, 0.712], [0.959, 0.744, 0.212], [0.459, 0.756, 0.788], [0.041, 0.244, 0.288], [0.667, 0.248, 0.290], [0.318, 0.557, 0.885], [0.818, 0.943, 0.115], [0.682, 0.057, 0.615], [0.167, 0.252, 0.710], [0.656, 0.449, 0.597], [0.833, 0.752, 0.790], [0.333, 0.748, 0.210], [0.344, 0.949, 0.903], [0.156, 0.051, 0.403], [0.698, 0.254, 0.917], [0.844, 0.551, 0.097], [0.802, 0.746, 0.417], [0.302, 0.754, 0.583], [0.198, 0.246, 0.083], [0.182, 0.443, 0.385]]
}